(1)
# Te8Mo3W (GGA-PBE, relaxed)
# Crystal system: trigonal
# Formation enthalpy at 0 K (eV per atom): -0.227
data_Te8Mo3W
_chemical_formula_sum 'Te8 Mo3 W1'
_cell_length_a 3.5575
_cell_length_b 3.5575
_cell_length_c 40.0772
_cell_angle_alpha 90.00
_cell_angle_beta 90.00
_cell_angle_gamma 120.00
_space_group_name_H-M_alt 'P 3 m 1'
_space_group_IT_number 156
loop_
_space_group_symop_operation_xyz
'x,y,z'
'-y,x-y,z'
'-x+y,-x,z'
'-y,-x,z'
'-x+y,y,z'
'x,x-y,z'
loop_
_atom_site_label
_atom_site_fract_x
_atom_site_fract_y
_atom_site_fract_z
_atom_site_occupancy
Te1 0.0000 0.0000 0.0000 1
Te2 0.0000 0.0000 0.0904 1
Te3 0.0000 0.0000 0.3756 1
Te4 0.0000 0.0000 0.4662 1
Te5 0.3333 0.6667 0.1879 1
Te6 0.3333 0.6667 0.2782 1
Te7 0.3333 0.6667 0.8121 1
Te8 0.3333 0.6667 0.9025 1
Mo1 0.0000 0.0000 0.2331 1
Mo2 0.0000 0.0000 0.8573 1
Mo3 0.3333 0.6667 0.0452 1
W1 0.3333 0.6667 0.4209 1

(2)
# Te4MoW (GGA-PBE, relaxed)
# Crystal system: trigonal
# Formation enthalpy at 0 K (eV per atom): -0.178
data_Te4MoW
_chemical_formula_sum 'Te8 Mo2 W2'
_cell_length_a 3.5596
_cell_length_b 3.5596
_cell_length_c 40.1077
_cell_angle_alpha 90.00
_cell_angle_beta 90.00
_cell_angle_gamma 120.00
_space_group_name_H-M_alt 'P -3 m 1'
_space_group_IT_number 164
_space_group_name_Hall '-P 3 2"'
loop_
_atom_site_label
_atom_site_fract_x
_atom_site_fract_y
_atom_site_fract_z
_atom_site_occupancy
Te1 0.3333 0.6667 0.2367 1
Te2 0.3333 0.6667 0.3269 1
Te3 0.3333 0.6667 0.8608 1
Te4 0.3333 0.6667 0.9514 1
Mo1 0.3333 0.6667 0.7182 1
W1 0.3333 0.6667 0.0939 1

(3)
# Te6MoW2 (GGA-PBE, relaxed)
# Crystal system: trigonal
# Formation enthalpy at 0 K (eV per atom): -0.145
data_Te6MoW2
_chemical_formula_sum 'Te6 Mo1 W2'
_cell_length_a 3.5542
_cell_length_b 3.5542
_cell_length_c 32.5838
_cell_angle_alpha 90.00
_cell_angle_beta 90.00
_cell_angle_gamma 120.00
_space_group_name_H-M_alt 'P 3 m 1'
_space_group_IT_number 156
loop_
_space_group_symop_operation_xyz
'x,y,z'
'-y,x-y,z'
'-x+y,-x,z'
'-y,-x,z'
'-x+y,y,z'
'x,x-y,z'
loop_
_atom_site_label
_atom_site_fract_x
_atom_site_fract_y
_atom_site_fract_z
_atom_site_occupancy
Te1 0.0000 0.0000 0.0000 1
Te2 0.0000 0.0000 0.1113 1
Te3 0.0000 0.0000 0.4625 1
Te4 0.0000 0.0000 0.5740 1
Te5 0.6667 0.3333 0.2312 1
Te6 0.6667 0.3333 0.3427 1
Mo1 0.6667 0.3333 0.0556 1
W1 0.0000 0.0000 0.2870 1
W2 0.6667 0.3333 0.5183 1

(4)
# Te4MoW (GGA-PBE, relaxed)
# Crystal system: trigonal
# Formation enthalpy at 0 K (eV per atom): -0.178
data_Te4MoW
_chemical_formula_sum 'Te8 Mo2 W2'
_cell_length_a 3.5600
_cell_length_b 3.5600
_cell_length_c 40.1042
_cell_angle_alpha 90.00
_cell_angle_beta 90.00
_cell_angle_gamma 120.00
_space_group_name_H-M_alt 'P 3 m 1'
_space_group_IT_number 156
loop_
_space_group_symop_operation_xyz
'x,y,z'
'-y,x-y,z'
'-x+y,-x,z'
'-y,-x,z'
'-x+y,y,z'
'x,x-y,z'
loop_
_atom_site_label
_atom_site_fract_x
_atom_site_fract_y
_atom_site_fract_z
_atom_site_occupancy
Te1 0.0000 0.0000 0.0000 1
Te2 0.0000 0.0000 0.0903 1
Te3 0.0000 0.0000 0.3757 1
Te4 0.0000 0.0000 0.4660 1
Te5 0.6667 0.3333 0.1877 1
Te6 0.6667 0.3333 0.2783 1
Te7 0.6667 0.3333 0.5634 1
Te8 0.6667 0.3333 0.6540 1
Mo1 0.6667 0.3333 0.0451 1
Mo2 0.6667 0.3333 0.4209 1
W1 0.0000 0.0000 0.2330 1
W2 0.0000 0.0000 0.6087 1

(5)
# Te6MoW2 (GGA-PBE, relaxed)
# Crystal system: hexagonal
# Formation enthalpy at 0 K (eV per atom): -0.145
data_Te6MoW2
_chemical_formula_sum 'Te6 Mo1 W2'
_cell_length_a 3.5587
_cell_length_b 3.5587
_cell_length_c 32.5864
_cell_angle_alpha 90.00
_cell_angle_beta 90.00
_cell_angle_gamma 120.00
_space_group_name_H-M_alt 'P -6 m 2'
_space_group_IT_number 187
_space_group_name_Hall 'P -6 2'
loop_
_atom_site_label
_atom_site_fract_x
_atom_site_fract_y
_atom_site_fract_z
_atom_site_occupancy
Te1 0.0000 0.0000 0.0556 1
Te2 0.3333 0.6667 0.1756 1
Te3 0.3333 0.6667 0.2871 1
Mo1 0.3333 0.6667 0.0000 1
W1 0.0000 0.0000 0.2313 1

(6)
# Te4MoW (GGA-PBE, relaxed)
# Crystal system: trigonal
# Formation enthalpy at 0 K (eV per atom): -0.178
data_Te4MoW
_chemical_formula_sum 'Te8 Mo2 W2'
_cell_length_a 3.5567
_cell_length_b 3.5567
_cell_length_c 40.1360
_cell_angle_alpha 90.00
_cell_angle_beta 90.00
_cell_angle_gamma 120.00
_space_group_name_H-M_alt 'P -3 m 1'
_space_group_IT_number 164
_space_group_name_Hall '-P 3 2"'
loop_
_atom_site_label
_atom_site_fract_x
_atom_site_fract_y
_atom_site_fract_z
_atom_site_occupancy
Te1 0.3333 0.6667 0.2365 1
Te2 0.3333 0.6667 0.3271 1
Te3 0.3333 0.6667 0.8609 1
Te4 0.3333 0.6667 0.9513 1
Mo1 0.3333 0.6667 0.0939 1
W1 0.3333 0.6667 0.7182 1